(i)
Density functional theory data (PBE+U) for V5O9 after structural relaxation.

Geometry as POSCAR:
```
V5O9
1.0
-6.9058 -1.4101 -0.9927
-3.3723 -2.9549 7.2582
-5.9758 8.4760 4.2265
V O
20 36
Direct
0.3260 0.4215 0.6114
0.3175 0.4263 0.1162
0.6825 0.5737 0.8838
0.3523 0.7871 0.5713
0.1757 0.5850 0.3901
0.1686 0.2038 0.9206
0.8237 0.4222 0.1101
0.1613 0.1967 0.4307
0.1763 0.5778 0.8899
0.3493 0.7906 0.0684
0.6507 0.2094 0.9316
0.8243 0.4150 0.6099
0.6740 0.5785 0.3886
0.0004 0.0050 0.2456
0.4959 0.0014 0.2511
0.8387 0.8033 0.5693
0.6477 0.2129 0.4287
0.5041 0.9986 0.7489
0.9996 0.9950 0.7544
0.8314 0.7962 0.0794
0.5396 0.5408 0.5921
0.4610 0.1372 0.3745
0.1881 0.7522 0.7637
0.1462 0.6799 0.5428
0.8045 0.9181 0.7059
0.8006 0.5784 0.7180
0.4882 0.8066 0.3894
0.1868 0.7592 0.2625
0.1501 0.0238 0.5635
0.1329 0.3681 0.0422
0.8019 0.5901 0.2058
0.4604 0.4592 0.4079
0.8538 0.3201 0.4572
0.8132 0.2408 0.7375
0.1994 0.4216 0.2820
0.8538 0.9688 0.9400
0.1981 0.4099 0.7942
0.1523 0.6732 0.0451
0.4640 0.4615 0.9083
0.8671 0.6319 0.9578
0.8119 0.2478 0.2363
0.1462 0.0312 0.0600
0.5291 0.8732 0.1244
0.8719 0.6327 0.4608
0.8477 0.3268 0.9549
0.5050 0.2059 0.1110
0.1281 0.3673 0.5392
0.2014 0.0762 0.7930
0.5360 0.5385 0.0917
0.5390 0.8628 0.6255
0.8499 0.9762 0.4365
0.4950 0.7941 0.8890
0.5118 0.1934 0.6106
0.4709 0.1268 0.8756
0.7986 0.9238 0.2070
0.1955 0.0819 0.2941
```

Summary:
- SG = P-1, No. 2
- ρ (Mg/m³) = 4.43

=====

(ii)
Density functional theory data (PBE+U) for V5O9 after structural relaxation.

Geometry as POSCAR:
```
V5O9
1.0
5.6293 0.0000 0.0000
2.3195 6.7206 0.0000
2.2984 2.3417 7.9292
V O
10 18
Direct
0.7197 0.8248 0.4177
0.2824 0.1757 0.5749
0.7250 0.3165 0.4280
0.2737 0.6799 0.5771
0.3602 0.6522 0.2144
0.6535 0.3510 0.7910
0.3408 0.1715 0.1988
0.6381 0.8408 0.8023
0.0028 0.4960 0.0039
0.9923 0.0021 0.9956
0.0548 0.2038 0.4157
0.9409 0.7926 0.5786
0.7205 0.5073 0.2047
0.2978 0.4838 0.7978
0.6176 0.1598 0.0157
0.3738 0.8501 0.9712
0.9073 0.8052 0.9157
0.0943 0.1825 0.0834
0.2642 0.4589 0.1439
0.7456 0.5389 0.8616
0.3209 0.4666 0.4634
0.6847 0.5351 0.5402
0.0039 0.1988 0.7589
0.9713 0.8095 0.2458
0.5806 0.1328 0.3653
0.4254 0.8622 0.6314
0.4088 0.8533 0.3281
0.5992 0.1482 0.6750
```

Summary:
- total magnetization (μB per cell) = 14.00
- SG = P1, No. 1
- ρ (Mg/m³) = 4.41

=====

Of them, the most stable is (i) and the least stable is (ii).

=====

(i)
Density functional theory data (PBE+U) for VWO4 after structural relaxation.

Geometry as POSCAR:
```
VWO4
1.0
-0.7236 0.1105 4.5179
1.4492 -4.7743 0.3210
11.1528 3.6219 1.7041
V W O
4 4 16
Direct
0.5033 0.2539 0.9377
0.0019 0.2479 0.4373
0.0024 0.7460 0.5632
0.5005 0.7529 0.0639
0.0010 0.7513 0.8213
0.4965 0.7520 0.3229
0.5004 0.2485 0.6772
0.9964 0.2476 0.1783
0.2629 0.0715 0.8131
0.7708 0.4191 0.3046
0.7393 0.4303 0.8129
0.7797 0.9129 0.6967
0.2282 0.0712 0.3068
0.2731 0.5791 0.1920
0.2220 0.5843 0.6970
0.7290 0.9282 0.1897
0.2480 0.5923 0.9343
0.7523 0.9060 0.4327
0.7522 0.9140 0.9344
0.7602 0.4165 0.5616
0.2439 0.5784 0.4368
0.2555 0.0940 0.0634
0.2368 0.0783 0.5611
0.7440 0.4239 0.0612
```

Summary:
- total magnetization (μB per cell) = 12.00
- SG = P1, No. 1
- ρ (Mg/m³) = 7.32

=====

(ii)
Density functional theory data (PBE+U) for VWO4 after structural relaxation.

Geometry as POSCAR:
```
VWO4
1.0
4.5692 0.0000 -0.3141
0.0000 4.9115 0.0000
0.8216 -0.0001 11.9542
V W O
4 4 16
Direct
0.0002 0.7508 0.5638
0.5002 0.7493 0.0637
0.5004 0.2509 0.9365
0.0003 0.2490 0.4366
0.5001 0.2523 0.6752
0.0001 0.2477 0.1752
0.0000 0.7519 0.8239
0.5000 0.7481 0.3239
0.2703 0.0708 0.8073
0.7703 0.4291 0.3073
0.7299 0.4328 0.8078
0.7697 0.9340 0.6922
0.2299 0.0672 0.3078
0.2697 0.5661 0.1922
0.2295 0.5684 0.6926
0.7294 0.9316 0.1926
0.2544 0.5926 0.9391
0.7544 0.9074 0.4391
0.7452 0.9103 0.9392
0.7565 0.4103 0.5612
0.2452 0.5897 0.4392
0.2565 0.0897 0.0612
0.2441 0.0896 0.5612
0.7442 0.4105 0.0612
```

Summary:
- total magnetization (μB per cell) = 4.00
- SG = Pc, No. 7
- ρ (Mg/m³) = 7.36

=====

Of them, the most stable is (ii) and the least stable is (i).

=====

(i)
Density functional theory data (PBE+U) for YVW2O8 after structural relaxation.

Geometry as POSCAR:
```
YVW2O8
1.0
-1.3212 -3.6252 -3.6571
4.4908 1.6421 -3.2497
5.7688 -6.2429 4.8167
Y V W O
2 2 4 16
Direct
0.2500 0.6647 0.2500
0.7500 0.3355 0.7500
0.2498 0.6647 0.7498
0.7498 0.3354 0.2500
0.2527 0.1582 0.4968
0.2474 0.1582 0.0032
0.7472 0.8418 0.5033
0.7528 0.8418 0.9967
0.4273 0.3577 0.1413
0.0728 0.3576 0.3587
0.5727 0.6422 0.8588
0.9273 0.6423 0.6412
0.4374 0.8954 0.6141
0.0626 0.8955 0.8860
0.5626 0.1044 0.3860
0.9375 0.1045 0.1140
0.8756 0.6143 0.1241
0.6246 0.6143 0.3759
0.1246 0.3856 0.8758
0.3755 0.3856 0.6241
0.4212 0.8853 0.0969
0.5789 0.1148 0.9030
0.0788 0.8852 0.4032
0.9211 0.1148 0.5969
```

Summary:
- total magnetization (μB per cell) = 8.00
- SG = P2/c, No. 13
- ρ (Mg/m³) = 7.04

=====

(ii)
Density functional theory data (PBE+U) for YVW2O8 after structural relaxation.

Geometry as POSCAR:
```
YVW2O8
1.0
5.1548 0.0000 0.0000
-1.7972 5.4611 0.0000
-0.1532 -1.8744 5.6669
Y V W O
1 1 2 8
Direct
0.4754 0.0981 0.7046
0.9719 0.0987 0.2298
0.7168 0.5867 0.3894
0.2247 0.6173 0.0623
0.7013 0.8217 0.6676
0.7445 0.2931 0.4828
0.6138 0.7862 0.1758
0.8416 0.3852 0.0635
0.1969 0.8823 0.9561
0.2638 0.3900 0.7920
0.3226 0.4053 0.2666
0.1268 0.8316 0.3879
```

Summary:
- total magnetization (μB per cell) = 4.00
- SG = P1, No. 1
- ρ (Mg/m³) = 6.62

=====

Of them, the most stable is (i) and the least stable is (ii).

=====

(i)
Density functional theory data (PBE+U) for V3Zn2O8 after structural relaxation.

Geometry as POSCAR:
```
V3Zn2O8
1.0
-4.2961 -1.1994 -3.8814
-0.8885 -0.9234 5.7723
-3.3112 8.9017 0.9143
V Zn O
6 4 16
Direct
0.8382 0.1625 0.7434
0.8375 0.6757 0.7434
0.3243 0.1618 0.7434
0.6755 0.8371 0.2434
0.1616 0.3245 0.2434
0.1629 0.8384 0.2434
0.6667 0.3334 0.0265
0.3333 0.6666 0.5265
0.6667 0.3333 0.4232
0.3333 0.6666 0.9233
0.0000 0.0000 0.3539
0.0000 0.0000 0.8538
0.3333 0.6667 0.1332
0.6667 0.3333 0.6332
0.8406 0.1670 0.1464
0.6737 0.8344 0.6465
0.1607 0.3263 0.6465
0.8331 0.6737 0.1464
0.3263 0.1594 0.1464
0.1656 0.8393 0.6465
0.5153 0.4809 0.8624
0.0344 0.5202 0.3624
0.4858 0.9656 0.3624
0.5191 0.0343 0.8624
0.9656 0.4847 0.8624
0.4798 0.5142 0.3624
```

Summary:
- total magnetization (μB per cell) = 6.00
- SG = P31c, No. 159
- ρ (Mg/m³) = 4.73

=====

(ii)
Density functional theory data (PBE+U) for V3Zn2O8 after structural relaxation.

Geometry as POSCAR:
```
V3Zn2O8
1.0
0.5103 -3.7346 4.6171
-4.7235 -0.3614 -3.6172
6.5146 -7.3987 -2.8578
V Zn O
6 4 16
Direct
0.5625 0.9375 0.8125
0.0625 0.4375 0.8125
0.5625 0.4375 0.8125
0.0625 0.4375 0.3125
0.5625 0.9375 0.3125
0.0625 0.9375 0.3125
0.5033 0.4967 0.4902
0.0032 0.9968 0.9902
0.6217 0.3783 0.1348
0.1218 0.8782 0.6348
0.1908 0.8092 0.4275
0.6908 0.3092 0.9275
0.9342 0.0658 0.1975
0.4342 0.5658 0.6975
0.4191 0.5810 0.2111
0.9190 0.0810 0.7112
0.7059 0.2940 0.4139
0.2060 0.7940 0.9138
0.7060 0.8259 0.4139
0.2060 0.3257 0.9138
0.1741 0.2941 0.4139
0.6743 0.7940 0.9138
0.9509 0.5809 0.2111
0.4507 0.0810 0.7112
0.4190 0.0491 0.2112
0.9190 0.5493 0.7112
```

Summary:
- total magnetization (μB per cell) = 0.00
- ρ (Mg/m³) = 4.60

=====

(iii)
Density functional theory data (PBE+U) for V3Zn2O8 after structural relaxation.

Geometry as POSCAR:
```
V3Zn2O8
1.0
-2.1551 -4.4835 -0.4634
5.5891 -1.3779 -0.9666
3.4911 -0.9429 4.5819
V Zn O
3 2 8
Direct
0.0000 0.2626 0.7374
0.5000 0.0002 0.9998
0.0000 0.7373 0.2627
0.5965 0.7099 0.7096
0.4035 0.2904 0.2901
0.1135 0.3959 0.3962
0.8865 0.6038 0.6041
0.1424 0.9003 0.9006
0.8576 0.0994 0.0997
0.3580 0.3462 0.8921
0.3579 0.8920 0.3458
0.6420 0.1079 0.6538
0.6421 0.6542 0.1080
```

Summary:
- total magnetization (μB per cell) = 1.00
- SG = C2/m, No. 12
- ρ (Mg/m³) = 4.69

=====

Of them, the most stable is (i) and the least stable is (ii).

=====

(i)
Density functional theory data (PBE+U) for Zr11VO24 after structural relaxation.

Geometry as POSCAR:
```
Zr11VO24
1.0
-0.3454 -0.0265 -5.2898
-6.5666 -3.1498 0.4445
-4.6837 9.8007 0.2567
Zr V O
11 1 24
Direct
0.7545 0.7455 0.0000
0.7470 0.7531 0.3332
0.7470 0.7531 0.6668
0.2547 0.0000 0.8356
0.2547 0.0000 0.1644
0.2289 0.0000 0.5000
0.7545 0.2545 0.0000
0.7470 0.2469 0.3332
0.7470 0.2469 0.6668
0.2528 0.5000 0.8278
0.2528 0.5000 0.1722
0.2674 0.5000 0.5000
0.4499 0.7547 0.8333
0.9506 0.7359 0.8315
0.4499 0.7547 0.1667
0.9506 0.7359 0.1685
0.4235 0.7281 0.5000
0.9256 0.7842 0.5000
0.0464 0.0000 0.6752
0.5405 0.0000 0.6541
0.5627 0.0000 0.0000
0.0517 0.0000 0.0000
0.0464 0.0000 0.3248
0.5405 0.0000 0.3459
0.4499 0.2453 0.8333
0.9506 0.2641 0.8315
0.9506 0.2641 0.1685
0.4499 0.2453 0.1667
0.4235 0.2719 0.5000
0.9256 0.2158 0.5000
0.5537 0.5000 0.0000
0.0630 0.5000 0.0000
0.0730 0.5000 0.3520
0.5703 0.5000 0.3200
0.0730 0.5000 0.6480
0.5703 0.5000 0.6800
```

Summary:
- total magnetization (μB per cell) = 1.00
- SG = Pmm2, No. 25
- ρ (Mg/m³) = 5.68

=====

(ii)
Density functional theory data (PBE+U) for Zr11VO24 after structural relaxation.

Geometry as POSCAR:
```
Zr11VO24
1.0
6.8274 0.0000 0.0000
-3.2431 6.6265 0.0000
-0.2780 -0.7276 9.6148
Zr V O
11 1 24
Direct
0.2133 0.9485 0.0052
0.1134 0.7162 0.3263
0.7446 0.5056 0.0363
0.5529 0.6172 0.3457
0.0778 0.1705 0.3725
0.4175 0.8411 0.7011
0.5864 0.1593 0.2956
0.4491 0.3870 0.6580
0.2548 0.4941 0.9638
0.8879 0.2751 0.6742
0.7817 0.0503 0.9893
0.9335 0.8151 0.6304
0.1110 0.6514 0.0905
0.4681 0.8532 0.3184
0.8626 0.8138 0.0188
0.1840 0.7974 0.5400
0.4750 0.5390 0.1314
0.1967 0.4807 0.3555
0.1314 0.8742 0.7900
0.8850 0.8373 0.4139
0.5488 0.1705 0.0697
0.2188 0.0135 0.2412
0.5544 0.6819 0.5756
0.7831 0.4966 0.2626
0.2167 0.5058 0.7365
0.7831 0.9789 0.7548
0.4447 0.3171 0.4247
0.4446 0.8302 0.9247
0.1173 0.1596 0.5974
0.8569 0.1270 0.2028
0.8097 0.5343 0.6451
0.5252 0.4631 0.8695
0.8091 0.2087 0.4637
0.1362 0.1870 0.9815
0.5361 0.1506 0.6859
0.8884 0.3481 0.9074
```

Summary:
- total magnetization (μB per cell) = 1.00
- SG = P1, No. 1
- ρ (Mg/m³) = 5.49

=====

Of them, the most stable is (ii) and the least stable is (i).

=====

(i)
Density functional theory data (PBE+U) for W2O7 after structural relaxation.

Geometry as POSCAR:
```
W2O7
1.0
3.0017 -2.1542 6.1940
-0.9060 3.9044 5.9959
-4.1514 -2.5029 5.3402
W O
4 14
Direct
0.1250 0.6250 0.6250
0.6250 0.1250 0.6250
0.6250 0.6250 0.1250
0.6250 0.6250 0.6250
0.7130 0.7130 0.2870
0.2870 0.2870 0.7130
0.7130 0.2870 0.7130
0.2870 0.7130 0.2870
0.2870 0.7130 0.7130
0.7130 0.2870 0.2870
0.5370 0.5370 0.9630
0.9630 0.9630 0.5370
0.5370 0.9630 0.5370
0.9630 0.5370 0.9630
0.9630 0.5370 0.5370
0.5370 0.9630 0.9630
0.5000 0.5000 0.5000
0.7500 0.7500 0.7500
```

Summary:
- total magnetization (μB per cell) = 3.99
- SG = Fd-3m, No. 227
- ρ (Mg/m³) = 6.01

=====

(ii)
Density functional theory data (PBE+U) for W2O7 after structural relaxation.

Geometry as POSCAR:
```
W2O7
1.0
0.0000 5.2009 5.2009
5.2009 0.0000 5.2009
5.2009 5.2009 0.0000
W O
4 14
Direct
0.1250 0.6250 0.6250
0.6250 0.1250 0.6250
0.6250 0.6250 0.1250
0.6250 0.6250 0.6250
0.6839 0.6839 0.3161
0.3161 0.3161 0.6839
0.6839 0.3161 0.6839
0.3161 0.6839 0.3161
0.3161 0.6839 0.6839
0.6839 0.3161 0.3161
0.5661 0.5661 0.9339
0.9339 0.9339 0.5661
0.5661 0.9339 0.5661
0.9339 0.5661 0.9339
0.9339 0.5661 0.5661
0.5661 0.9339 0.9339
0.2500 0.2500 0.2500
0.0000 0.0000 0.0000
```

Summary:
- total magnetization (μB per cell) = 4.00
- SG = Fd-3m, No. 227
- ρ (Mg/m³) = 5.66

=====

Of them, the most stable is (ii) and the least stable is (i).